# 1
A plane-wave DFT calculation with GGA-PBE was carried out for an optimized crystal structure of Rb2TlAuF6.

extended XYZ file:
```
10
Lattice="0.000 4.629 4.629 4.629 0.000 4.629 4.629 4.629 0.000" Properties=species:S:1:pos:R:3 pbc="T T T"
Rb 2.314 2.314 2.314
Rb 6.943 6.943 6.943
Tl 0.000 0.000 0.000
Au 4.629 4.629 4.629
F 4.629 4.629 2.261
F 4.629 2.261 4.629
F 6.996 4.629 4.629
F 2.261 4.629 4.629
F 4.629 6.996 4.629
F 4.629 4.629 6.996
```

## Properties
**E_tot**: -38.08 eV/f.u.
**Volume**: 198.32 Å³/cell
**DFT formation energy**: -2.1764 eV per atom

# 2
A plane-wave DFT calculation with GGA-PBE was carried out for an optimized crystal structure of Rb2YAuF6.

extended XYZ file:
```
10
Lattice="0.000 4.689 4.689 4.689 0.000 4.689 4.689 4.689 0.000" Properties=species:S:1:pos:R:3 pbc="T T T"
Rb 2.344 2.344 2.344
Rb 7.033 7.033 7.033
Y 0.000 0.000 0.000
Au 4.689 4.689 4.689
F 4.689 4.689 2.181
F 4.689 2.181 4.689
F 7.196 4.689 4.689
F 2.181 4.689 4.689
F 4.689 7.196 4.689
F 4.689 4.689 7.196
```

## Properties
**E_tot**: -50.47 eV/f.u.
**Volume**: 206.15 Å³/cell
**DFT formation energy**: -3.0050 eV per atom

# 3
A plane-wave DFT calculation with GGA-PBE was carried out for an optimized crystal structure of Sb3Au3F22.

extended XYZ file:
```
112
Lattice="10.446 0.000 0.000 0.000 10.969 0.000 -1.195 0.000 15.789" Properties=species:S:1:pos:R:3 pbc="T T T"
Sb 0.000 1.348 0.000
Sb -0.598 9.621 7.895
Sb -0.520 4.051 7.755
Sb -1.117 6.918 15.649
Sb 2.032 4.109 12.494
Sb 2.630 6.861 4.600
Sb 2.648 1.450 4.514
Sb 2.051 9.520 12.409
Sb 5.618 4.114 1.377
Sb 5.020 6.855 9.272
Sb 5.043 1.363 9.238
Sb 5.640 9.606 1.344
Au -0.679 1.367 11.759
Au -0.081 9.602 3.865
Au 5.121 1.288 14.557
Au 5.719 9.681 6.662
Au 5.753 4.206 6.669
Au 5.156 6.763 14.564
Au 7.798 1.444 4.600
Au 7.200 9.525 12.495
Au 7.273 4.052 12.510
Au 7.871 6.917 4.616
Au 9.837 4.113 2.473
Au 9.240 6.857 10.367
F -0.045 0.358 1.622
F -0.643 10.612 9.516
F -0.506 5.086 9.565
F 0.092 5.884 1.670
F 0.529 3.006 1.095
F -0.069 7.964 8.989
F -0.035 2.562 8.830
F 0.563 8.407 0.936
F 0.845 0.351 4.485
F 0.247 10.618 12.380
F 0.314 4.933 12.412
F 0.912 6.036 4.517
F 0.642 1.009 15.560
F 1.240 9.961 7.665
F 1.280 4.585 7.565
F 0.682 6.384 15.459
F 1.579 2.904 3.889
F 0.981 8.065 11.783
F 1.093 2.388 11.693
F 1.690 8.581 3.798
F 2.143 1.857 6.292
F 1.545 9.112 14.187
F 1.611 3.400 14.198
F 2.209 7.569 6.303
F 2.862 0.860 2.729
F 2.265 10.110 10.623
F 2.322 4.566 10.680
F 2.920 6.403 2.785
F 2.877 0.153 13.041
F 3.475 10.816 5.147
F 3.782 3.736 1.506
F 3.184 7.234 9.401
F 3.210 1.749 9.385
F 3.519 5.329 5.301
F 2.921 5.640 13.195
F 3.808 9.221 1.491
F 3.607 3.030 12.466
F 4.205 7.939 4.572
F 4.253 2.466 4.566
F 3.655 8.503 12.461
F 5.100 0.201 0.178
F 4.502 10.769 8.073
F 4.550 5.270 8.130
F 5.148 5.699 0.236
F 4.993 2.385 7.491
F 4.395 8.584 15.386
F 4.413 3.135 15.407
F 5.011 7.834 7.512
F 5.678 5.152 2.958
F 5.080 5.818 10.852
F 5.098 0.295 10.801
F 5.696 10.674 2.907
F 6.202 2.505 2.200
F 5.605 8.464 10.094
F 5.637 2.956 10.085
F 6.235 8.013 2.191
F 6.414 0.445 5.791
F 5.817 10.525 13.685
F 5.868 5.043 13.677
F 6.466 5.927 5.783
F 6.896 3.179 5.279
F 6.299 7.791 13.173
F 6.346 2.331 13.256
F 6.943 8.639 5.361
F 6.813 0.862 8.766
F 7.410 10.107 0.871
F 7.422 4.599 0.967
F 6.825 6.371 8.861
F 8.649 1.934 0.326
F 8.052 9.035 8.221
F 8.083 3.673 8.151
F 8.681 7.297 0.256
F 8.019 0.347 11.738
F 8.616 10.623 3.844
F 8.697 5.142 3.807
F 8.099 5.827 11.702
F 9.151 2.391 3.297
F 8.553 8.578 11.192
F 8.652 2.994 11.294
F 9.250 7.975 3.399
F 9.262 0.113 6.818
F 8.664 10.857 14.712
F 8.727 5.275 14.876
F 9.325 5.695 6.982
F 9.820 3.098 6.112
F 9.223 7.871 14.006
F 9.252 2.484 14.236
F 9.850 8.485 6.341
```

## Properties
**E_tot**: -113.46 eV/f.u.
**Volume**: 1809.20 Å³/cell
**DFT formation energy**: -2.1177 eV per atom

# 4
A plane-wave DFT calculation with GGA-PBE was carried out for an optimized crystal structure of Sb4AuXe4F22.

extended XYZ file:
```
124
Lattice="9.878 0.000 0.000 0.000 9.878 0.000 0.000 0.000 28.772" Properties=species:S:1:pos:R:3 pbc="T T T"
Sb 0.150 4.568 3.222
Sb 0.371 5.089 24.801
Sb 1.445 7.611 14.704
Sb 2.267 8.433 28.455
Sb 2.672 3.494 21.897
Sb 3.494 2.672 6.876
Sb 4.568 0.150 25.551
Sb 4.789 9.507 18.357
Sb 5.089 0.371 3.971
Sb 5.310 9.728 11.164
Sb 6.384 7.206 21.262
Sb 7.206 6.384 7.510
Sb 7.611 1.445 14.069
Sb 8.433 2.267 0.317
Sb 9.507 4.789 10.415
Sb 9.728 5.310 17.608
Au 0.480 9.398 7.193
Au 4.459 4.459 14.386
Au 5.419 5.419 0.000
Au 9.398 0.480 21.579
Xe 0.328 9.334 4.358
Xe 0.544 9.550 10.028
Xe 1.479 8.399 21.579
Xe 2.468 2.468 14.386
Xe 2.471 7.407 7.193
Xe 3.460 3.460 0.000
Xe 4.395 4.611 11.551
Xe 4.611 4.395 17.221
Xe 5.267 5.483 2.835
Xe 5.483 5.267 25.938
Xe 6.418 6.418 14.386
Xe 7.407 2.471 21.579
Xe 7.410 7.410 0.000
Xe 8.399 1.479 7.193
Xe 9.334 0.328 24.414
Xe 9.550 0.544 18.745
F 0.262 3.975 8.819
F 0.392 2.533 28.721
F 0.644 3.654 11.549
F 0.799 8.834 27.310
F 0.867 6.107 18.994
F 0.964 5.200 1.626
F 1.020 6.090 10.271
F 1.044 9.079 15.848
F 1.056 3.046 20.959
F 1.151 3.919 17.464
F 1.155 6.372 16.338
F 1.156 8.173 1.200
F 1.168 4.072 26.187
F 1.278 3.037 3.154
F 1.284 5.583 4.356
F 1.433 3.784 23.531
F 1.684 2.716 6.307
F 1.705 8.722 13.186
F 1.893 5.995 13.766
F 1.902 6.217 24.733
F 2.223 6.623 27.886
F 2.406 5.331 21.528
F 2.533 0.392 0.052
F 2.716 1.684 22.466
F 3.037 1.278 25.618
F 3.046 1.056 7.813
F 3.234 3.783 8.393
F 3.255 7.655 15.272
F 3.506 8.723 26.821
F 3.654 0.644 17.223
F 3.661 7.976 18.425
F 3.771 9.011 24.165
F 3.784 1.433 5.241
F 3.783 3.234 20.380
F 3.788 8.858 4.115
F 3.883 7.985 0.620
F 3.895 4.140 5.731
F 3.919 1.151 11.308
F 3.975 0.262 19.954
F 4.072 1.168 2.586
F 4.140 3.895 23.041
F 4.295 8.593 10.030
F 4.547 7.472 21.631
F 4.677 8.914 12.761
F 5.200 0.964 27.147
F 5.331 2.406 7.245
F 5.583 1.284 24.417
F 5.738 5.983 8.655
F 5.806 8.710 16.972
F 5.903 9.616 5.567
F 5.959 8.727 25.695
F 5.983 5.738 20.117
F 5.995 1.893 15.006
F 6.090 1.020 18.502
F 6.095 6.644 5.993
F 6.094 8.445 19.628
F 6.107 0.867 9.779
F 6.217 1.902 4.039
F 6.223 9.234 2.837
F 6.372 1.155 12.434
F 6.623 2.223 0.886
F 6.644 6.095 22.779
F 6.832 8.822 22.199
F 6.841 8.600 11.232
F 7.162 8.194 8.079
F 7.345 9.486 14.438
F 7.472 4.547 7.141
F 7.655 3.255 13.500
F 7.976 3.661 10.347
F 7.985 3.883 28.153
F 8.173 1.156 27.573
F 8.194 7.162 20.693
F 8.445 6.094 9.145
F 8.593 4.295 18.742
F 8.600 6.841 17.540
F 8.710 5.806 11.801
F 8.722 1.705 15.586
F 8.723 3.506 1.952
F 8.727 5.959 3.078
F 8.822 6.832 6.573
F 8.834 0.799 1.462
F 8.858 3.788 24.657
F 8.914 4.677 16.012
F 9.011 3.771 4.607
F 9.079 1.044 12.924
F 9.234 6.223 25.935
F 9.486 7.345 14.335
F 9.616 5.903 23.205
```

## Properties
**E_tot**: -118.39 eV/f.u.
**Volume**: 2807.44 Å³/cell
**DFT formation energy**: -2.1450 eV per atom

# 5
A plane-wave DFT calculation with GGA-PBE was carried out for an optimized crystal structure of Sb3AuXe2F18.

extended XYZ file:
```
96
Lattice="8.295 0.000 0.000 0.000 10.388 0.000 -2.818 0.000 22.744" Properties=species:S:1:pos:R:3 pbc="T T T"
Sb 0.326 1.619 5.934
Sb -1.083 3.575 17.307
Sb 0.539 1.570 10.868
Sb -0.870 3.623 22.240
Sb 0.594 5.694 14.358
Sb 2.003 9.887 2.986
Sb 3.475 0.501 19.758
Sb 4.884 4.693 8.386
Sb 6.347 6.764 0.504
Sb 4.938 8.817 11.876
Sb 6.560 6.813 5.438
Sb 5.151 8.769 16.810
Au 1.263 7.114 19.985
Au 2.672 8.467 8.613
Au 2.806 1.921 14.132
Au 4.214 3.273 2.759
Xe 0.838 6.689 9.484
Xe -0.570 8.892 20.857
Xe 1.105 0.125 15.146
Xe 2.514 5.069 3.773
Xe 2.963 5.319 18.971
Xe 4.372 10.263 7.599
Xe 6.048 1.496 1.888
Xe 4.639 3.698 13.260
F -0.918 1.538 9.671
F -2.327 3.656 21.043
F -1.462 2.531 15.760
F -0.053 2.663 4.388
F -1.001 5.628 13.316
F 0.408 9.954 1.943
F 0.044 6.127 5.499
F -1.365 9.455 16.871
F -1.438 2.172 18.520
F -0.029 3.022 7.148
F -0.519 1.611 12.445
F 0.890 3.583 1.073
F 0.798 0.090 4.555
F -0.611 5.104 15.927
F 0.740 0.311 7.252
F -0.669 4.883 18.625
F -0.760 5.522 22.371
F 0.649 10.060 10.999
F -0.701 1.731 22.297
F 0.708 3.463 10.924
F 0.242 7.477 14.901
F 1.651 8.104 3.529
F 2.263 1.376 2.648
F 0.854 3.818 14.020
F 2.172 2.057 5.785
F 0.763 3.137 17.157
F 0.632 7.470 18.206
F 2.041 8.112 6.834
F 1.947 1.497 9.587
F 0.538 3.697 20.959
F 1.655 6.192 12.864
F 3.064 9.390 1.492
F 2.204 1.543 12.233
F 3.613 3.651 0.861
F 2.075 5.604 15.543
F 3.484 9.977 4.171
F 1.993 0.410 18.573
F 3.402 4.784 7.201
F 1.864 6.737 21.883
F 3.273 8.845 10.511
F 2.413 0.998 21.252
F 3.822 4.196 9.880
F 4.939 6.691 1.786
F 3.530 8.891 13.158
F 3.436 2.276 15.911
F 4.845 2.918 4.539
F 4.714 7.251 5.588
F 3.305 8.331 16.960
F 4.623 6.570 8.724
F 3.214 9.012 20.097
F 3.826 2.284 19.216
F 5.235 2.910 7.843
F 4.769 6.925 11.820
F 6.178 8.657 0.448
F 4.828 0.328 11.746
F 6.237 4.866 0.374
F 6.146 5.505 4.120
F 4.738 10.076 15.492
F 6.088 5.284 6.818
F 4.679 10.298 18.190
F 4.587 6.805 21.672
F 5.996 8.777 10.300
F 5.507 7.366 15.597
F 6.915 8.216 4.225
F 6.842 0.933 5.874
F 5.433 4.261 17.246
F 5.069 0.434 20.801
F 6.478 4.760 9.429
F 5.530 7.725 18.357
F 6.939 7.857 6.984
F 7.804 6.732 1.702
F 6.395 8.850 13.074
```

## Properties
**E_tot**: -94.05 eV/f.u.
**Volume**: 1959.83 Å³/cell
**DFT formation energy**: -2.1737 eV per atom

# 6
A plane-wave DFT calculation with GGA-PBE was carried out for an optimized crystal structure of Sb4AuXe4F22.

extended XYZ file:
```
62
Lattice="8.160 0.000 0.000 -0.760 9.397 0.000 -0.837 -3.118 17.588" Properties=species:S:1:pos:R:3 pbc="T T T"
Sb 0.452 -0.155 6.572
Sb 1.518 1.629 1.461
Sb 1.417 4.434 10.283
Sb 1.763 2.504 15.219
Sb 4.800 3.774 2.369
Sb 5.146 1.844 7.305
Sb 5.045 4.650 16.127
Sb 6.111 6.433 11.017
Au 2.466 6.561 4.281
Au 4.097 -0.282 13.308
Xe 0.604 6.734 2.190
Xe 0.768 4.734 5.598
Xe 2.321 -0.139 11.133
Xe 2.363 -2.070 14.631
Xe 4.200 8.349 2.957
Xe 4.242 6.418 6.455
Xe 5.794 1.545 11.990
Xe 5.958 -0.455 15.399
F -0.139 0.705 1.472
F -0.873 7.573 7.299
F -1.077 6.866 12.600
F -0.311 5.657 10.243
F 0.888 3.173 2.374
F 0.825 1.570 5.885
F 0.345 -0.624 17.383
F 0.422 3.268 11.418
F 0.653 3.581 8.768
F 0.521 1.345 14.358
F 1.252 0.306 8.233
F 0.764 2.626 16.827
F 0.984 4.115 14.596
F 2.066 -0.938 5.888
F 2.097 0.856 3.099
F 2.453 0.258 0.521
F 1.901 5.502 11.779
F 2.133 5.768 9.126
F 3.389 2.581 1.426
F 2.770 1.044 15.929
F 2.973 3.354 10.340
F 2.938 2.465 13.708
F 3.624 3.814 3.881
F 3.590 2.924 7.249
F 3.792 5.234 1.660
F 3.173 3.697 16.162
F 4.430 0.511 8.463
F 4.661 0.777 5.809
F 4.110 6.020 17.067
F 4.466 5.423 14.489
F 4.497 7.216 11.701
F 5.578 2.164 2.992
F 5.799 3.652 0.761
F 5.311 5.973 9.356
F 6.042 4.934 3.231
F 5.909 2.697 8.820
F 6.141 3.011 6.170
F 6.217 6.902 0.206
F 5.738 4.708 11.703
F 5.675 3.106 15.215
F 6.874 0.622 7.345
F 7.639 -0.587 4.989
F 7.436 -1.294 10.289
F 6.701 5.574 16.116
```

## Properties
**E_tot**: -118.39 eV/f.u.
**Volume**: 1348.57 Å³/cell
**DFT formation energy**: -2.1451 eV per atom

Question: Which value of DFT formation energy does entry 4 give?
Answer: -2.1450 eV per atom